No. 1
## CaH4N2 (PBE)

Data for a relaxed structure of CaH4N2.

Cell: 7.329 6.309 6.360 Å, 70.61 90.00 90.00°
Positions (direct):
1 H 0.819 0.248 0.882
2 H 0.528 0.623 0.066
3 H 0.270 0.834 0.372
4 H 0.472 0.377 0.934
5 H 0.972 0.123 0.066
6 H 0.912 0.872 0.533
7 H 0.230 0.334 0.372
8 H 0.319 0.252 0.118
9 H 0.588 0.372 0.533
10 H 0.181 0.752 0.118
11 H 0.770 0.666 0.628
12 H 0.028 0.877 0.934
13 H 0.088 0.128 0.467
14 H 0.681 0.748 0.882
15 H 0.730 0.166 0.628
16 H 0.412 0.628 0.467
17 N 0.119 0.745 0.976
18 N 0.137 0.268 0.499
19 N 0.637 0.232 0.501
20 N 0.381 0.245 0.976
21 N 0.881 0.255 0.024
22 N 0.619 0.755 0.024
23 N 0.863 0.732 0.501
24 N 0.363 0.768 0.499
25 Ca 0.879 0.504 0.249
26 Ca 0.621 0.004 0.249
27 Ca 0.121 0.496 0.751
28 Ca 0.379 0.996 0.751

Results
DFT total energy	-36.444	eV per formula unit



No. 2
## CaHN (PBE)

Data for a relaxed structure of CaHN.

Cell: 3.795 3.795 3.795 Å, 124.31 124.31 82.69°
Positions (direct):
1 Ca 0.946 0.946 0.000
2 N 0.543 0.543 0.000
3 H 0.361 0.361 0.000

Results
largest piezoelectric modulus	1.233	C/m²
DFT total energy	-15.941	eV per formula unit



No. 3
## Ca16HN8 (PBE)

Data for a relaxed structure of Ca16HN8.

Cell: 7.296 10.358 14.711 Å, 90.00 90.00 90.00°
Positions (direct):
1 N 0.250 0.501 0.499
2 N 0.500 0.250 0.375
3 N 0.000 0.750 0.375
4 N 0.250 0.000 0.251
5 N 0.250 0.499 0.999
6 N 0.500 0.251 0.625
7 N 0.750 0.499 0.999
8 N 0.750 0.501 0.499
9 N 0.750 0.000 0.751
10 N 0.000 0.750 0.625
11 N 0.000 0.750 0.875
12 N 0.500 0.250 0.125
13 N 0.000 0.749 0.125
14 N 0.500 0.250 0.875
15 N 0.750 0.000 0.251
16 N 0.250 0.000 0.751
17 Ca 0.775 0.736 0.498
18 Ca 0.720 0.235 0.250
19 Ca 0.225 0.764 0.252
20 Ca 0.000 0.516 0.609
21 Ca 0.500 0.011 0.361
22 Ca 0.225 0.736 0.498
23 Ca 0.275 0.236 0.752
24 Ca 0.280 0.265 0.500
25 Ca 0.280 0.235 0.250
26 Ca 0.000 0.515 0.110
27 Ca 0.500 0.016 0.640
28 Ca 0.000 0.985 0.360
29 Ca 0.725 0.264 0.998
30 Ca 0.725 0.236 0.752
31 Ca 0.720 0.265 0.500
32 Ca 0.500 0.485 0.890
33 Ca 0.775 0.764 0.252
34 Ca 0.500 0.485 0.610
35 Ca 0.220 0.735 0.000
36 Ca 0.780 0.735 0.000
37 Ca 0.220 0.765 0.750
38 Ca 0.000 0.511 0.889
39 Ca 0.000 0.515 0.390
40 Ca 0.500 0.489 0.389
41 Ca 0.500 0.015 0.139
42 Ca 0.000 0.985 0.639
43 Ca 0.000 0.989 0.861
44 Ca 0.275 0.264 0.998
45 Ca 0.780 0.765 0.750
46 Ca 0.500 0.015 0.860
47 Ca 0.000 0.984 0.140
48 Ca 0.500 0.484 0.109
49 H 0.000 0.264 0.861
50 H 0.500 0.736 0.361

Results
DFT total energy	-120.630	eV per formula unit
magnetic moment	0.004	μB/f.u.